1.
Na2NbAgF6: relaxed, PBE-GGA.

Geometry as POSCAR:
```
Na2NbAgF6
1.0
0.000 4.481 4.481
4.481 0.000 4.481
4.481 4.481 0.000
Na Nb Ag F
2 1 1 6
Cartesian
2.240 2.240 2.240
6.721 6.721 6.721
0.000 0.000 0.000
4.481 4.481 4.481
4.481 4.481 2.072
4.481 2.072 4.481
6.890 4.481 4.481
2.072 4.481 4.481
4.481 6.890 4.481
4.481 4.481 6.890
```

Results
Energy of formation, meV/atom: -2427
SG: Fm-3m (225)
Density, g/cm³: 3.33
Corrected total energy (MP2020 scheme), eV/f.u.: -51.34
Magnetization, μB/f.u.: 1.65



2.
Na2AgPdF6: relaxed, PBE-GGA.

Geometry as POSCAR:
```
Na2AgPdF6
1.0
0.000 4.332 4.332
4.332 0.000 4.332
4.332 4.332 0.000
Na Ag Pd F
2 1 1 6
Cartesian
2.166 2.166 2.166
6.497 6.497 6.497
0.000 0.000 0.000
4.332 4.332 4.332
4.332 4.332 2.252
4.332 2.252 4.332
6.412 4.332 4.332
2.252 4.332 4.332
4.332 6.412 4.332
4.332 4.332 6.412
```

Results
Energy of formation, meV/atom: -1989
SG: Fm-3m (225)
Density, g/cm³: 3.82
Corrected total energy (MP2020 scheme), eV/f.u.: -42.04
Magnetization, μB/f.u.: 1.00



3.
Na2ScAgF6: relaxed, PBE-GGA.

Geometry as POSCAR:
```
Na2ScAgF6
1.0
0.000 4.400 4.400
4.400 0.000 4.400
4.400 4.400 0.000
Na Sc Ag F
2 1 1 6
Cartesian
2.200 2.200 2.200
6.599 6.599 6.599
0.000 0.000 0.000
4.400 4.400 4.400
4.400 4.400 2.016
4.400 2.016 4.400
6.783 4.400 4.400
2.016 4.400 4.400
4.400 6.783 4.400
4.400 4.400 6.783
```

Results
Energy of formation, meV/atom: -3000
SG: Fm-3m (225)
Density, g/cm³: 3.05
Corrected total energy (MP2020 scheme), eV/f.u.: -53.30
Magnetization, μB/f.u.: 0.00



4.
Na2TaAgF6: relaxed, PBE-GGA.

Geometry as POSCAR:
```
Na2TaAgF6
1.0
0.000 4.943 4.943
4.943 0.000 4.943
4.943 4.943 0.000
Na Ta Ag F
2 1 1 6
Cartesian
2.471 2.471 2.471
7.414 7.414 7.414
0.000 0.000 0.000
4.943 4.943 4.943
4.943 4.943 1.928
4.943 1.928 4.943
7.958 4.943 4.943
1.928 4.943 4.943
4.943 7.958 4.943
4.943 4.943 7.958
```

Results
Energy of formation, meV/atom: -2491
SG: Fm-3m (225)
Density, g/cm³: 3.09
Corrected total energy (MP2020 scheme), eV/f.u.: -53.73
Magnetization, μB/f.u.: 0.02